Entry 1:
Entry from the Materials Project: a geometry-optimized ReTe3Br5 structure (PBE-GGA).

Values from the calculation:
As for the crystal system: monoclinic. The total energy comes out at -32.58 eV per formula unit. The calculation puts the formation energy at -55.6 kJ/mol of atoms.

Lattice parameters (Å, degrees): 11.634 8.894 12.745 90.00 106.01 90.00
Space group P2_1 (No. 4)
Inequivalent atoms, fractional coordinates:
Re1 0.135 0.000 0.282 [2 per cell]
Re2 0.277 0.781 0.212 [2 per cell]
Te1 0.067 0.876 0.085 [2 per cell]
Te2 0.112 0.181 0.450 [2 per cell]
Te3 0.138 0.704 0.346 [2 per cell]
Te4 0.308 0.071 0.190 [2 per cell]
Te5 0.333 0.886 0.421 [2 per cell]
Te6 0.429 0.736 0.082 [2 per cell]
Br1 0.054 0.275 0.222 [2 per cell]
Br2 0.080 0.490 0.681 [2 per cell]
Br3 0.093 0.169 0.895 [2 per cell]
Br4 0.167 0.014 0.626 [2 per cell]
Br5 0.224 0.543 0.083 [2 per cell]
Br6 0.295 0.358 0.507 [2 per cell]
Br7 0.337 0.875 0.898 [2 per cell]
Br8 0.387 0.409 0.857 [2 per cell]
Br9 0.463 0.603 0.298 [2 per cell]
Br10 0.495 0.654 0.649 [2 per cell]

Entry 2:
Entry from the Materials Project: a geometry-optimized Re3Te4Br3 structure (PBE-GGA).

Values from the calculation:
As for the crystal system: triclinic. The total energy comes out at -57.25 eV per formula unit. The calculation puts the formation energy at -38.9 kJ/mol of atoms.

Lattice parameters (Å, degrees): 9.574 9.593 13.672 84.38 84.38 82.50
Space group P-1 (No. 2)
Inequivalent atoms, fractional coordinates:
Re1 0.010 0.012 0.359 [2 per cell]
Re2 0.111 0.818 0.500 [2 per cell]
Re3 0.165 0.086 0.493 [2 per cell]
Re4 0.311 0.532 0.056 [2 per cell]
Re5 0.439 0.422 0.890 [2 per cell]
Re6 0.480 0.683 0.932 [2 per cell]
Te1 0.048 0.262 0.633 [2 per cell]
Te2 0.066 0.284 0.348 [2 per cell]
Te3 0.224 0.638 0.875 [2 per cell]
Te4 0.263 0.272 0.012 [2 per cell]
Te5 0.272 0.893 0.636 [2 per cell]
Te6 0.294 0.914 0.353 [2 per cell]
Te7 0.348 0.795 0.100 [2 per cell]
Te8 0.393 0.416 0.237 [2 per cell]
Br1 0.020 0.023 0.170 [2 per cell]
Br2 0.055 0.579 0.132 [2 per cell]
Br3 0.259 0.578 0.501 [2 per cell]
Br4 0.362 0.319 0.742 [2 per cell]
Br5 0.392 0.204 0.484 [2 per cell]
Br6 0.448 0.936 0.848 [2 per cell]

Entry 3:
Entry from the Materials Project: a geometry-optimized RhBr structure (PBE-GGA).

Values from the calculation:
As for the crystal system: hexagonal. The total energy comes out at -8.09 eV per formula unit. The calculation puts the formation energy at 18.2 kJ/mol of atoms.

Lattice parameters (Å, degrees): 3.5515 3.5515 7.8398 90.00 90.00 120.00
Space group P6_3mc (No. 186)
Inequivalent atoms, fractional coordinates:
Rh1 0.3333 0.6667 0.0000 [2 per cell]
Br1 0.3333 0.6667 0.6898 [2 per cell]

Question: What is the formula in the first record?
Answer: ReTe3Br5

What did the first record say?
Entry from the Materials Project: a geometry-optimized ReTe3Br5 structure (PBE-GGA).

Values from the calculation:
As for the crystal system: monoclinic. The total energy comes out at -32.58 eV per formula unit. The calculation puts the formation energy at -55.6 kJ/mol of atoms.

Lattice parameters (Å, degrees): 11.634 8.894 12.745 90.00 106.01 90.00
Space group P2_1 (No. 4)
Inequivalent atoms, fractional coordinates:
Re1 0.135 0.000 0.282 [2 per cell]
Re2 0.277 0.781 0.212 [2 per cell]
Te1 0.067 0.876 0.085 [2 per cell]
Te2 0.112 0.181 0.450 [2 per cell]
Te3 0.138 0.704 0.346 [2 per cell]
Te4 0.308 0.071 0.190 [2 per cell]
Te5 0.333 0.886 0.421 [2 per cell]
Te6 0.429 0.736 0.082 [2 per cell]
Br1 0.054 0.275 0.222 [2 per cell]
Br2 0.080 0.490 0.681 [2 per cell]
Br3 0.093 0.169 0.895 [2 per cell]
Br4 0.167 0.014 0.626 [2 per cell]
Br5 0.224 0.543 0.083 [2 per cell]
Br6 0.295 0.358 0.507 [2 per cell]
Br7 0.337 0.875 0.898 [2 per cell]
Br8 0.387 0.409 0.857 [2 per cell]
Br9 0.463 0.603 0.298 [2 per cell]
Br10 0.495 0.654 0.649 [2 per cell]